The following is a DFT calculation (PBE) of a relaxed Na3PrAs2O8 crystal.

a = 14.399 Å, b = 5.624 Å, c = 19.575 Å
α = 90.00°, β = 90.00°, γ = 90.00°
Space group Pca2_1 (No. 29)
Asymmetric unit:
Na 0.033 0.043 0.106
Na 0.047 0.484 0.347
Na 0.116 0.994 0.442
Na 0.138 0.487 0.166
Na 0.203 0.970 0.261
Na 0.217 0.522 0.500
Pr 0.112 0.428 0.691
Pr 0.137 0.060 0.920
As 0.023 0.974 0.770
As 0.025 0.535 0.013
As 0.227 0.515 0.841
As 0.227 0.959 0.598
O 0.004 0.486 0.099
O 0.008 0.291 0.232
O 0.009 0.034 0.355
O 0.033 0.796 0.228
O 0.035 0.836 0.996
O 0.060 0.591 0.463
O 0.110 0.452 0.844
O 0.123 0.105 0.612
O 0.129 0.392 0.997
O 0.140 0.030 0.767
O 0.189 0.087 0.147
O 0.215 0.659 0.618
O 0.217 0.294 0.386
O 0.241 0.515 0.256
O 0.244 0.785 0.376
O 0.248 0.967 0.511

Uncorrected energy in eV/atom: -6.08
Calculated density in Mg/m³: 4.09
Magnetic moment in μB per atom: 0.000
Energy of formation in meV per atom: -2359.2
Calculated volume in Å³ per atom: 14.2